(1)
The following is a DFT calculation (meta-GGA r2SCAN) of a relaxed NaMgF3 crystal.

As for the energy relative to the elements: -3.507 eV/atom. The space group is Pnma, No. 62. As for the calculated total energy: -138.587 eV for the cell shown.

Unit cell a=5.2970 b=5.4713 c=7.5987 alpha=90.00 beta=90.00 gamma=90.00
Element x y z (fractional)
F1 0.2000 0.2031 0.5505
F2 0.7000 0.2969 0.0505
F3 0.5963 0.0316 0.7500
F4 0.9037 0.5316 0.7500
F5 0.0963 0.4684 0.2500
F6 0.4037 0.9684 0.2500
F7 0.8000 0.7969 0.0505
F8 0.7000 0.2969 0.4495
F9 0.2000 0.2031 0.9495
F10 0.3000 0.7031 0.9495
F11 0.3000 0.7031 0.5505
F12 0.8000 0.7969 0.4495
Mg1 0.0000 0.5000 0.0000
Mg2 0.5000 0.0000 0.5000
Mg3 0.5000 0.0000 0.0000
Mg4 0.0000 0.5000 0.5000
Na1 0.4866 0.4474 0.7500
Na2 0.0134 0.9474 0.7500
Na3 0.5134 0.5526 0.2500
Na4 0.9866 0.0526 0.2500

---

(2)
The following is a DFT calculation (meta-GGA r2SCAN) of a relaxed LiScHg2 crystal.

As for the energy relative to the elements: -0.439 eV/atom. The space group is Fm-3m, No. 225. As for the calculated total energy: -114.276 eV for the cell shown.

Unit cell a=4.8048 b=4.8048 c=4.8048 alpha=60.00 beta=60.00 gamma=60.00
Element x y z (fractional)
Sc1 0.7500 0.7500 0.7500
Hg1 0.0000 0.0000 0.0000
Hg2 0.5000 0.5000 0.5000
Li1 0.2500 0.2500 0.2500

---

(3)
The following is a DFT calculation (meta-GGA r2SCAN) of a relaxed TbNi4B crystal.

As for the energy relative to the elements: -0.477 eV/atom. The space group is P6/mmm, No. 191. As for the calculated total energy: -178.727 eV for the cell shown.

Unit cell a=4.9412 b=4.9412 c=6.8888 alpha=90.00 beta=90.00 gamma=120.00
Element x y z (fractional)
Ni1 0.0000 0.5000 0.7086
Ni2 0.3333 0.6667 0.0000
Ni3 0.6667 0.3333 0.0000
Ni4 0.5000 0.0000 0.2914
Ni5 0.5000 0.5000 0.2914
Ni6 0.5000 0.0000 0.7086
Ni7 0.5000 0.5000 0.7086
Ni8 0.0000 0.5000 0.2914
B1 0.3333 0.6667 0.5000
B2 0.6667 0.3333 0.5000
Tb1 0.0000 0.0000 0.5000
Tb2 0.0000 0.0000 0.0000

---

(4)
The following is a DFT calculation (meta-GGA r2SCAN) of a relaxed Na2BeF4 crystal.

As for the energy relative to the elements: -3.246 eV/atom. The space group is Pnma, No. 62. For the energy relative to the lowest polymorph listed for this composition, the calculation gives 0 meV/atom. As for the calculated total energy: -186.767 eV for the cell shown.

Unit cell a=4.8499 b=6.4560 c=10.8023 alpha=90.00 beta=90.00 gamma=90.00
Element x y z (fractional)
F1 0.7453 0.2500 0.0937
F2 0.1985 0.0559 0.6612
F3 0.2547 0.7500 0.9063
F4 0.2453 0.7500 0.4063
F5 0.6985 0.9441 0.8388
F6 0.1950 0.2500 0.4609
F7 0.8050 0.7500 0.5391
F8 0.6985 0.5559 0.8388
F9 0.8015 0.5559 0.3388
F10 0.3050 0.2500 0.9609
F11 0.8015 0.9441 0.3388
F12 0.6950 0.7500 0.0391
F13 0.3015 0.0559 0.1612
F14 0.3015 0.4441 0.1612
F15 0.7547 0.2500 0.5937
F16 0.1985 0.4441 0.6612
Na1 0.5000 0.5000 0.5000
Na2 0.4870 0.7500 0.2221
Na3 0.0000 0.5000 0.0000
Na4 0.0130 0.7500 0.7221
Na5 0.0000 0.0000 0.0000
Na6 0.9870 0.2500 0.2779
Na7 0.5000 0.0000 0.5000
Na8 0.5130 0.2500 0.7779
Be1 0.0731 0.2500 0.5956
Be2 0.9269 0.7500 0.4044
Be3 0.4269 0.2500 0.0956
Be4 0.5731 0.7500 0.9044

---

(5)
The following is a DFT calculation (meta-GGA r2SCAN) of a relaxed SiO2 crystal.

As for the energy relative to the elements: -3.022 eV/atom. The space group is Pbam, No. 55. As for the calculated total energy: -476.557 eV for the cell shown.

Unit cell a=8.3482 b=9.7619 c=9.7853 alpha=90.00 beta=90.00 gamma=90.00
Element x y z (fractional)
Si1 0.6873 0.3292 0.6200
Si2 0.1873 0.6207 0.6709
Si3 0.8127 0.1207 0.8291
Si4 0.6873 0.8292 0.8800
Si5 0.3127 0.8292 0.8800
Si6 0.8127 0.3793 0.3291
Si7 0.3127 0.1708 0.1200
Si8 0.3127 0.3292 0.6200
Si9 0.8127 0.6207 0.6709
Si10 0.6873 0.1708 0.1200
Si11 0.1873 0.3793 0.3291
Si12 0.1873 0.1207 0.8291
Si13 0.3127 0.6708 0.3800
Si14 0.1873 0.8793 0.1709
Si15 0.6873 0.6708 0.3800
Si16 0.8127 0.8793 0.1709
O1 0.7879 0.4570 0.6806
O2 0.2870 0.6818 0.5432
O3 0.2870 0.8182 0.0432
O4 0.7879 0.0430 0.1806
O5 0.0000 0.3468 0.3500
O6 0.0000 0.6532 0.6500
O7 0.5000 0.8521 0.8486
O8 0.2510 0.6901 0.8096
O9 0.5000 0.1479 0.1514
O10 0.7130 0.6818 0.5432
O11 0.7130 0.8182 0.0432
O12 0.7130 0.3182 0.4568
O13 0.2510 0.8099 0.3096
O14 0.2121 0.0430 0.1806
O15 0.7490 0.3099 0.1904
O16 0.7490 0.6901 0.8096
O17 0.7490 0.1901 0.6904
O18 0.2121 0.5430 0.3194
O19 0.2870 0.1818 0.9568
O20 0.2510 0.1901 0.6904
O21 0.7879 0.9570 0.8194
O22 0.0000 0.1532 0.8500
O23 0.5000 0.3521 0.6514
O24 0.2121 0.9570 0.8194
O25 0.2121 0.4570 0.6806
O26 0.7879 0.5430 0.3194
O27 0.5000 0.6479 0.3486
O28 0.7130 0.1818 0.9568
O29 0.2870 0.3182 0.4568
O30 0.0000 0.8468 0.1500
O31 0.2510 0.3099 0.1904
O32 0.7490 0.8099 0.3096

---

(6)
The following is a DFT calculation (meta-GGA r2SCAN) of a relaxed Sm2Al3Ge4 crystal.

As for the energy relative to the elements: -0.500 eV/atom. The space group is Cmce, No. 64. As for the calculated total energy: -279.297 eV for the cell shown.

Unit cell a=8.0092 b=8.0092 c=7.9861 alpha=90.00 beta=90.00 gamma=136.27
Element x y z (fractional)
Sm1 0.1150 0.8850 0.4201
Sm2 0.6150 0.3850 0.0799
Sm3 0.3850 0.6150 0.9201
Sm4 0.8850 0.1150 0.5799
Ge1 0.3139 0.6861 0.5552
Ge2 0.2963 0.2037 0.7500
Ge3 0.1861 0.8139 0.0552
Ge4 0.6861 0.3139 0.4448
Ge5 0.7963 0.7037 0.7500
Ge6 0.2037 0.2963 0.2500
Ge7 0.7037 0.7963 0.2500
Ge8 0.8139 0.1861 0.9448
Al1 0.0000 0.0000 0.0000
Al2 0.0341 0.4659 0.2500
Al3 0.5000 0.5000 0.5000
Al4 0.9659 0.5341 0.7500
Al5 0.4659 0.0341 0.7500
Al6 0.5341 0.9659 0.2500

---

(7)
The following is a DFT calculation (meta-GGA r2SCAN) of a relaxed HgBi2S4 crystal.

As for the energy relative to the elements: -0.368 eV/atom. The space group is P-1, No. 2. As for the calculated total energy: -402.168 eV for the cell shown.

Unit cell a=4.0721 b=7.5170 c=12.5988 alpha=85.99 beta=80.87 gamma=74.30
Element x y z (fractional)
S1 0.6297 0.1701 0.5727
S2 0.1543 0.3571 0.3309
S3 0.9978 0.1683 0.8328
S4 0.3071 0.3225 0.0638
S5 0.0022 0.8317 0.1672
S6 0.3703 0.8299 0.4273
S7 0.8457 0.6429 0.6691
S8 0.6929 0.6775 0.9362
Bi1 0.7750 0.0790 0.3686
Bi2 0.2250 0.9210 0.6314
Bi3 0.3474 0.4374 0.8635
Bi4 0.6526 0.5626 0.1365
Hg1 0.0000 0.0000 0.0000
Hg2 0.0000 0.5000 0.5000

---

(8)
The following is a DFT calculation (meta-GGA r2SCAN) of a relaxed Nb3Pt crystal.

As for the energy relative to the elements: -0.433 eV/atom. The space group is Pm-3n, No. 223. As for the calculated total energy: -254.844 eV for the cell shown.

Unit cell a=5.1948 b=5.1948 c=5.1947 alpha=90.00 beta=90.00 gamma=90.00
Element x y z (fractional)
Pt1 0.0000 0.0000 0.0000
Pt2 0.5000 0.5000 0.5000
Nb1 0.5000 0.7500 0.0000
Nb2 0.2500 0.0000 0.5000
Nb3 0.7500 0.0000 0.5000
Nb4 0.0000 0.5000 0.7500
Nb5 0.5000 0.2500 0.0000
Nb6 0.0000 0.5000 0.2500

---

(9)
The following is a DFT calculation (meta-GGA r2SCAN) of a relaxed TmNiGe2 crystal.

As for the energy relative to the elements: -0.712 eV/atom. The space group is Immm, No. 71. As for the calculated total energy: -310.771 eV for the cell shown.

Unit cell a=9.1570 b=9.1570 c=9.1570 alpha=154.06 beta=125.39 gamma=61.42
Element x y z (fractional)
Ge1 0.4616 0.8032 0.6584
Ge2 0.5384 0.1968 0.3416
Ge3 0.0772 0.5772 0.5000
Ge4 0.8551 0.1968 0.6584
Ge5 0.9228 0.4228 0.5000
Ge6 0.5789 0.5789 0.0000
Ge7 0.1449 0.8032 0.3416
Ge8 0.4211 0.4211 0.0000
Tm1 0.2038 0.2038 0.0000
Tm2 0.2390 0.0000 0.2390
Tm3 0.7610 0.0000 0.7610
Tm4 0.7962 0.7962 0.0000
Ni1 0.3980 0.6479 0.7501
Ni2 0.8979 0.6479 0.2499
Ni3 0.6020 0.3521 0.2499
Ni4 0.1021 0.3521 0.7501

---

(10)
The following is a DFT calculation (meta-GGA r2SCAN) of a relaxed TmMg2 crystal.

As for the energy relative to the elements: -0.063 eV/atom. The space group is Fd-3m, No. 227. As for the calculated total energy: -87.299 eV for the cell shown.

Unit cell a=5.9595 b=5.9595 c=5.9595 alpha=60.00 beta=60.00 gamma=60.00
Element x y z (fractional)
Mg1 0.6250 0.1250 0.1250
Mg2 0.1250 0.1250 0.6250
Mg3 0.1250 0.6250 0.1250
Mg4 0.1250 0.1250 0.1250
Tm1 0.7500 0.7500 0.7500
Tm2 0.5000 0.5000 0.5000

---

(11)
The following is a DFT calculation (meta-GGA r2SCAN) of a relaxed DyCuPb crystal.

As for the energy relative to the elements: -0.507 eV/atom. The space group is P6_3mc, No. 186. As for the calculated total energy: -201.267 eV for the cell shown.

Unit cell a=4.5680 b=4.5680 c=7.3720 alpha=90.00 beta=90.00 gamma=120.00
Element x y z (fractional)
Pb1 0.6667 0.3333 0.7241
Pb2 0.3333 0.6667 0.2241
Dy1 0.0000 0.0000 0.9945
Dy2 0.0000 0.0000 0.4945
Cu1 0.3333 0.6667 0.8245
Cu2 0.6667 0.3333 0.3245

---

(12)
The following is a DFT calculation (meta-GGA r2SCAN) of a relaxed BaAg2 crystal.

As for the energy relative to the elements: -0.259 eV/atom. The space group is Imma, No. 74. As for the calculated total energy: -139.979 eV for the cell shown.

Unit cell a=4.8497 b=6.5614 c=6.5614 alpha=84.58 beta=68.31 gamma=68.31
Element x y z (fractional)
Ba1 0.0014 0.2486 0.7486
Ba2 0.9986 0.7514 0.2514
Ag1 0.6666 0.8318 0.8351
Ag2 0.3334 0.6649 0.6682
Ag3 0.3334 0.1682 0.1649
Ag4 0.6666 0.3351 0.3318

---

(13)
The following is a DFT calculation (meta-GGA r2SCAN) of a relaxed Ac2Mg crystal.

As for the energy relative to the elements: -0.054 eV/atom. The space group is C2/m, No. 12. For the energy relative to the lowest polymorph listed for this composition, the calculation gives 0 meV/atom. As for the calculated total energy: -283.210 eV for the cell shown.

Unit cell a=7.4592 b=7.4592 c=8.2703 alpha=73.90 beta=73.90 gamma=32.12
Element x y z (fractional)
Mg1 0.5032 0.5032 0.2432
Mg2 0.4968 0.4968 0.7568
Ac1 0.8519 0.8519 0.5712
Ac2 0.1481 0.1481 0.4288
Ac3 0.1523 0.1523 0.9211
Ac4 0.8477 0.8477 0.0789

---

(14)
The following is a DFT calculation (meta-GGA r2SCAN) of a relaxed PuGa2 crystal.

As for the energy relative to the elements: -0.567 eV/atom. The space group is P6/mmm, No. 191. As for the calculated total energy: -110.943 eV for the cell shown.

Unit cell a=4.5187 b=4.5187 c=3.4216 alpha=90.00 beta=90.00 gamma=120.00
Element x y z (fractional)
Ga1 0.6667 0.3333 0.5000
Ga2 0.3333 0.6667 0.5000
Pu1 0.0000 0.0000 0.0000

---

(15)
The following is a DFT calculation (meta-GGA r2SCAN) of a relaxed PmDyMg2 crystal.

As for the energy relative to the elements: -0.100 eV/atom. The space group is Fm-3m, No. 225. As for the calculated total energy: -70.262 eV for the cell shown.

Unit cell a=5.4097 b=5.4097 c=5.4097 alpha=60.00 beta=60.00 gamma=60.00
Element x y z (fractional)
Pm1 0.7500 0.7500 0.7500
Mg1 0.0000 0.0000 0.0000
Mg2 0.5000 0.5000 0.5000
Dy1 0.2500 0.2500 0.2500

---

(16)
The following is a DFT calculation (meta-GGA r2SCAN) of a relaxed CoSi4Ni crystal.

As for the energy relative to the elements: -0.423 eV/atom. The space group is R-3m, No. 166. As for the calculated total energy: -62.850 eV for the cell shown.

Unit cell a=6.5346 b=6.5346 c=6.5346 alpha=33.54 beta=33.54 gamma=33.54
Element x y z (fractional)
Si1 0.6270 0.6270 0.6270
Si2 0.3730 0.3730 0.3730
Si3 0.8769 0.8769 0.8769
Si4 0.1231 0.1231 0.1231
Co1 0.0000 0.0000 0.0000
Ni1 0.5000 0.5000 0.5000

---

(17)
The following is a DFT calculation (meta-GGA r2SCAN) of a relaxed SiAg2P2 crystal.

As for the energy relative to the elements: -0.109 eV/atom. The space group is I-42d, No. 122. As for the calculated total energy: -140.071 eV for the cell shown.

Unit cell a=6.2954 b=6.2954 c=6.2954 alpha=117.32 beta=117.32 gamma=94.71
Element x y z (fractional)
Si1 0.7500 0.2500 0.5000
Si2 0.0000 0.0000 0.0000
Ag1 0.8750 0.5725 0.1975
Ag2 0.3750 0.6775 0.8025
Ag3 0.4275 0.6250 0.3025
Ag4 0.3225 0.1250 0.6975
P1 0.7051 0.1250 0.0801
P2 0.3750 0.2949 0.4199
P3 0.8750 0.9551 0.5801
P4 0.0449 0.6250 0.9199

---

(18)
The following is a DFT calculation (meta-GGA r2SCAN) of a relaxed Mn3B4 crystal.

As for the energy relative to the elements: -0.445 eV/atom. The space group is Immm, No. 71. As for the calculated total energy: -76.551 eV for the cell shown.

Unit cell a=2.9442 b=3.0067 c=6.7766 alpha=102.82 beta=102.55 gamma=90.00
Element x y z (fractional)
Mn1 0.8126 0.8127 0.6252
Mn2 0.5000 0.0000 0.0000
Mn3 0.1874 0.1873 0.3748
B1 0.3584 0.3583 0.7168
B2 0.0666 0.5666 0.1331
B3 0.6416 0.6417 0.2832
B4 0.9334 0.4334 0.8669

---

(19)
The following is a DFT calculation (meta-GGA r2SCAN) of a relaxed CsAlH8N4 crystal.

As for the energy relative to the elements: -0.589 eV/atom. The space group is P4/n, No. 85. As for the calculated total energy: -208.476 eV for the cell shown.

Unit cell a=7.5061 b=7.5061 c=5.2621 alpha=90.00 beta=90.00 gamma=90.00
Element x y z (fractional)
H1 0.0234 0.8224 0.4006
H2 0.5234 0.3224 0.5994
H3 0.7785 0.6595 0.2014
H4 0.1595 0.7215 0.2014
H5 0.6595 0.2215 0.7986
H6 0.4766 0.6776 0.5994
H7 0.1776 0.0234 0.5994
H8 0.2215 0.3405 0.2014
H9 0.9766 0.1776 0.4006
H10 0.7215 0.8405 0.7986
H11 0.3224 0.4766 0.4006
H12 0.3405 0.7785 0.7986
H13 0.8405 0.2785 0.2014
H14 0.2785 0.1595 0.7986
H15 0.6776 0.5234 0.4006
H16 0.8224 0.9766 0.5994
Cs1 0.5000 0.0000 0.2455
Cs2 0.0000 0.5000 0.7545
N1 0.5809 0.3299 0.7736
N2 0.0809 0.8299 0.2264
N3 0.9191 0.1701 0.2264
N4 0.1701 0.0809 0.7736
N5 0.4191 0.6701 0.7736
N6 0.3299 0.4191 0.2264
N7 0.8299 0.9191 0.7736
N8 0.6701 0.5809 0.2264
Al1 0.0000 0.0000 0.0000
Al2 0.5000 0.5000 0.0000